BaU2Se5 | PBE | optimized geometry

Its final energy is -205.4 eV/cell. As for the energy above the most stable polymorph in this dataset: 0.231 eV/atom. For the formation energy, the calculation gives -1465 meV/atom.

abc: 13.3758 8.2844 7.8632
angles: 90.00 90.00 90.00
Last column: nearest neighbours and their distance in Å.
Space group Pnma (No. 62)
Symmetry-distinct sites (fractional):
Ba (0.0050, 0.2500, 0.0855)  7 Se 3.07-3.20
U (0.1830, 0.0004, 0.5067)  5 Se 2.79-3.11
Se (0.0070, 0.2500, 0.4930)  4 U 3.13-3.28, 1 Ba 3.20, 1 Se 3.48
Se (0.1297, 0.5509, 0.1676)  2 U 2.79-2.84, 1 Ba 3.07
Se (0.1849, 0.2500, 0.8168)  4 U 3.11-3.20, 2 Se 3.20, 1 Ba 3.20
Se (0.2197, 0.7500, 0.7821)  4 U 3.02-3.04, 1 Ba 3.18, 2 Se 3.33